No. 1
Er9Al5S21 after structural relaxation. Source: the Materials Project, functional PBE.

a = 16.6671 Å, b = 16.6671 Å, c = 17.9676 Å
α = 90.00°, β = 90.00°, γ = 120.00°
Closest atoms and distances in Å follow each position.
Space group R3 (No. 146, hexagonal axes)
One atom of each set of equivalent atoms:
1 Er 0.0294 0.2005 0.0000 x9  7 S 2.74-2.92
2 Er 0.0297 0.2020 0.3365 x9  7 S 2.70-2.93
3 Er 0.0297 0.2051 0.6746 x9  7 S 2.71-2.90
4 Er 0.1581 0.6963 0.8410 x9  7 S 2.72-2.91
5 Er 0.1613 0.6945 0.1660 x9  7 S 2.74-2.91
6 Er 0.1619 0.6983 0.5040 x9  7 S 2.73-2.89
7 Al 0.0000 0.0000 0.0955 x3  3 S 2.31
8 Al 0.0000 0.0000 0.2797 x3  6 S 2.40-2.47
9 Al 0.0000 0.0000 0.5953 x3  3 S 2.32
10 Al 0.0000 0.0000 0.7797 x3  6 S 2.41-2.47
11 Al 0.0002 0.6679 0.6453 x9  4 S 2.22-2.25
12 Al 0.0020 0.3342 0.1453 x9  4 S 2.22-2.25
13 S 0.0015 0.3339 0.9357 x9  1 Al 2.22
14 S 0.0016 0.6674 0.4357 x9  1 Al 2.22
15 S 0.0137 0.1278 0.5328 x9  1 Al 2.32
16 S 0.0154 0.1222 0.1938 x9  2 Al 2.47-2.61
17 S 0.0153 0.5533 0.9244 x9  1 Al 2.25
18 S 0.0185 0.1317 0.8489 x9  1 Al 2.41
19 S 0.0203 0.5553 0.2598 x9  1 Al 2.24
20 S 0.0248 0.5598 0.5920 x9  1 Al 2.25
21 S 0.1223 0.1072 0.6939 x9  2 Al 2.47-2.62
22 S 0.1277 0.1138 0.0329 x9  1 Al 2.31
23 S 0.1295 0.3489 0.4263 x9  1 Al 2.25
24 S 0.1312 0.3585 0.7590 x9  1 Al 2.24
25 S 0.1316 0.1134 0.3488 x9  1 Al 2.40
26 S 0.1317 0.3537 0.0911 x9  1 Al 2.24

DFT formation energy in kJ/mol of atoms: -193
Raw total energy in eV/atom: -5.8878
E (MP2020) in eV per atom: -6.190



No. 2
Er2AlSi2 after structural relaxation. Source: the Materials Project, functional PBE.

a = 4.0345 Å, b = 5.8030 Å, c = 8.5722 Å
α = 90.00°, β = 90.00°, γ = 90.00°
Closest atoms and distances in Å follow each position.
Space group Immm (No. 71)
One atom of each set of equivalent atoms:
1 Er 0.0000 0.0000 0.2112 x4  6 Si 2.97-2.99, 2 Al 3.19
2 Al 0.0000 0.5000 0.0000 x2  4 Si 2.62
3 Si 0.0000 0.2891 0.5000 x4  1 Si 2.45, 2 Al 2.62

DFT formation energy in kJ/mol of atoms: -66
Raw total energy in eV/atom: -5.4624
E (MP2020) in eV per atom: -5.434



No. 3
ErAl2Si2 after structural relaxation. Source: the Materials Project, functional PBE.

a = 4.2119 Å, b = 4.2119 Å, c = 6.4628 Å
α = 90.00°, β = 90.00°, γ = 120.00°
Closest atoms and distances in Å follow each position.
Space group P-3m1 (No. 164)
One atom of each set of equivalent atoms:
1 Er 0.0000 0.0000 0.0000 x1  6 Si 2.94
2 Al 0.3333 0.6667 0.6465 x2  4 Si 2.51-2.52
3 Si 0.3333 0.6667 0.2570 x2  4 Al 2.51-2.52

DFT formation energy in kJ/mol of atoms: -32
Raw total energy in eV/atom: -4.9397
E (MP2020) in eV per atom: -4.911



No. 4
Er4AlSi3 after structural relaxation. Source: the Materials Project, functional PBE.

a = 3.5752 Å, b = 3.5752 Å, c = 13.5295 Å
α = 90.00°, β = 90.00°, γ = 90.00°
Closest atoms and distances in Å follow each position.
Space group P4/mmm (No. 123)
One atom of each set of equivalent atoms:
1 Er 0.0000 0.0000 0.1236 x2  8 Si 3.03-3.07, 2 Er 3.34
2 Er 0.0000 0.0000 0.3701 x2  4 Si 2.99, 4 Al 3.08, 1 Er 3.34
3 Al 0.5000 0.5000 0.5000 x1  8 Er 3.08, 2 Si 3.35
4 Si 0.5000 0.5000 0.0000 x1  8 Er 3.03
5 Si 0.5000 0.5000 0.2522 x2  8 Er 2.99-3.07

DFT formation energy in kJ/mol of atoms: -38
Raw total energy in eV/atom: -5.2065
E (MP2020) in eV per atom: -5.180



Q: Which formula does entry 2 have?
A: Er2AlSi2